(1)
Material: Nd2MnSi2
Method: DFT, PBE
State: optimized geometry

## Properties
The value obtained for the total energy after the MP2020 corrections is -0.36780 Ry per atom. For the total energy, the calculation gives -5.033 eV/atom. The formation enthalpy at 0 K is 906 meV/atom. The total moment comes out at 0.597 μB per atom.

abc: 2.8767 2.8767 14.0091
angles: 90.00 90.00 90.00
Last column: nearest neighbours and their distance in Å.
Sites, in units of the cell vectors:
Nd 0.5000 0.5000 0.6261  4 Nd 2.88, 1 Si 2.96
Nd 0.5000 0.5000 0.3739  4 Nd 2.88, 1 Si 2.96
Mn 0.5000 0.5000 0.0000  2 Si 2.28
Si 0.5000 0.5000 0.1628  1 Mn 2.28
Si 0.5000 0.5000 0.8372  1 Mn 2.28



(2)
Material: CrB6H16
Method: DFT, PBE
State: optimized geometry

## Properties
The value obtained for the total energy after the MP2020 corrections is -0.34257 Ry per atom. For the total energy, the calculation gives -4.536 eV/atom. The formation enthalpy at 0 K is -139 meV/atom. The total moment comes out at 0.174 μB per atom.

abc: 4.4752 5.8843 8.9893
angles: 105.93 92.45 111.62
Last column: nearest neighbours and their distance in Å.
Sites, in units of the cell vectors:
Cr 0.0000 0.5000 0.5000  4 H 1.82-1.83
B 0.3125 0.6119 0.3047  3 H 1.20-1.27
B 0.6875 0.3881 0.6953  3 H 1.20-1.27
B 0.1109 0.3356 0.1323  2 H 1.20
B 0.2660 0.3084 0.3129  3 H 1.22-1.27
B 0.8891 0.6644 0.8677  2 H 1.20
B 0.7340 0.6916 0.6871  3 H 1.22-1.27
H 0.2561 0.3086 0.0240  1 B 1.20
H 0.4104 0.2354 0.6687  1 B 1.20
H 0.5186 0.2843 0.3419  1 B 1.22
H 0.1419 0.7154 0.3829  1 B 1.27
H 0.8736 0.8708 0.8144  1 B 1.27
H 0.4814 0.7157 0.6580  1 B 1.22
H 0.8581 0.2846 0.6171  1 B 1.27
H 0.2019 0.6079 0.1714  1 B 1.27
H 0.1797 0.7382 0.8975  1 B 1.20
H 0.7439 0.6914 0.9760  1 B 1.20
H 0.8203 0.2618 0.1025  1 B 1.20
H 0.0734 0.2143 0.3992  1 B 1.26
H 0.9266 0.7857 0.6008  1 B 1.26
H 0.1264 0.1292 0.1856  1 B 1.27
H 0.7981 0.3921 0.8286  1 B 1.27
H 0.5896 0.7646 0.3313  1 B 1.20



(3)
Material: LaLu3S6
Method: DFT, PBE
State: optimized geometry

## Properties
The value obtained for the total energy after the MP2020 corrections is -0.49549 Ry per atom. For the total energy, the calculation gives -6.440 eV/atom. The formation enthalpy at 0 K is -2410 meV/atom.

abc: 3.9614 11.0139 11.2223
angles: 71.00 90.00 90.00
Last column: nearest neighbours and their distance in Å.
Sites, in units of the cell vectors:
La 0.7500 0.5509 0.8039  8 S 2.93-3.05
La 0.2500 0.4491 0.1961  8 S 2.93-3.05
Lu 0.7500 0.1787 0.0000  7 S 2.66-2.88
Lu 0.2500 0.8213 0.0000  7 S 2.66-2.88
Lu 0.7500 0.9445 0.6660  6 S 2.64-2.74
Lu 0.2500 0.0555 0.3340  6 S 2.64-2.74
Lu 0.7500 0.6608 0.4121  6 S 2.62-2.75
Lu 0.2500 0.3392 0.5879  6 S 2.62-2.75
S 0.7500 0.9777 0.8884  4 Lu 2.64-2.88
S 0.2500 0.0223 0.1116  4 Lu 2.64-2.88
S 0.7500 0.3016 0.7484  3 Lu 2.62-2.70
S 0.2500 0.6984 0.2516  3 Lu 2.62-2.70
S 0.7500 0.8928 0.4427  4 Lu 2.68-2.74
S 0.2500 0.1072 0.5573  4 Lu 2.68-2.74
S 0.7500 0.4189 0.4090  3 Lu 2.68-2.75
S 0.2500 0.5811 0.5910  3 Lu 2.68-2.75
S 0.7500 0.2291 0.2307  3 Lu 2.73-2.82, 2 La 3.05
S 0.2500 0.7709 0.7693  3 Lu 2.73-2.82, 2 La 3.05
S 0.7500 0.6225 0.0363  2 Lu 2.88, 3 La 2.93-2.96
S 0.2500 0.3775 0.9637  2 Lu 2.88, 3 La 2.93-2.96



(4)
Material: Li5Mg
Method: DFT, PBE
State: optimized geometry

## Properties
For the total energy, the calculation gives -1.880 eV/atom. The formation enthalpy at 0 K is -22 meV/atom.

abc: 5.8517 5.8517 7.2397
angles: 75.34 75.34 30.48
Last column: nearest neighbours and their distance in Å.
Sites, in units of the cell vectors:
Li 0.9992 0.9992 0.9997  10 Li 3.03-3.08, 2 Mg 3.05
Li 0.2784 0.2784 0.9434  10 Li 3.04-3.08, 2 Mg 3.06
Li 0.6666 0.6666 0.6678  11 Li 3.04-3.08, 1 Mg 3.06
Li 0.9439 0.9439 0.6123  10 Li 3.03-3.08, 2 Mg 3.07
Li 0.3336 0.3336 0.3337  9 Li 3.05-3.08, 3 Mg 3.06
Mg 0.6116 0.6116 0.2764  10 Li 3.05-3.07, 2 Mg 3.08



(5)
Material: U2Si3Rh
Method: DFT, PBE
State: optimized geometry

## Properties
For the total energy, the calculation gives -8.207 eV/atom. The formation enthalpy at 0 K is -503 meV/atom. The total moment comes out at 0.659 μB per atom.

abc: 3.7209 4.1790 7.1023
angles: 90.00 90.00 90.00
Last column: nearest neighbours and their distance in Å.
Sites, in units of the cell vectors:
U 0.0000 0.5000 0.9997  10 Si 2.97-3.04, 2 Rh 3.02
U 0.0000 0.0000 0.5004  8 Si 3.00-3.06, 4 Rh 3.04
Si 0.5000 0.0000 0.8316  3 Si 2.33-2.37
Si 0.5000 0.0000 0.1597  1 Si 2.33, 2 Rh 2.43
Si 0.5000 0.5000 0.6738  2 Si 2.37, 1 Rh 2.41
Rh 0.5000 0.5000 0.3348  3 Si 2.41-2.43



(6)
Material: Y2Ni3N4
Method: DFT, PBE
State: optimized geometry

## Properties
The value obtained for the total energy after the MP2020 corrections is -0.56959 Ry per atom. For the total energy, the calculation gives -7.589 eV/atom. The formation enthalpy at 0 K is -681 meV/atom. The total moment comes out at 0.000 μB per atom.

abc: 5.7289 7.7355 7.5327
angles: 90.00 79.58 132.46
Last column: nearest neighbours and their distance in Å.
Sites, in units of the cell vectors:
Y 0.7049 0.2319 0.6313  5 N 2.26-2.49
Y 0.2951 0.5270 0.8687  5 N 2.26-2.49
Y 0.2951 0.7681 0.3687  5 N 2.26-2.49
Y 0.7049 0.4730 0.1313  5 N 2.26-2.49
Ni 0.2442 0.9947 0.0060  4 N 1.91-1.98
Ni 0.7558 0.7505 0.4940  4 N 1.91-1.98
Ni 0.7558 0.0053 0.9940  4 N 1.91-1.98
Ni 0.2442 0.2495 0.5060  4 N 1.91-1.98
Ni 0.0000 0.9088 0.7500  2 N 1.83
Ni 0.0000 0.0912 0.2500  2 N 1.83
N 0.2092 0.9860 0.5084  3 Ni 1.83-1.95
N 0.7908 0.7768 0.9916  3 Ni 1.83-1.95
N 0.7908 0.0140 0.4916  3 Ni 1.83-1.95
N 0.2092 0.2232 0.0084  3 Ni 1.83-1.95
N 0.7263 0.2364 0.9482  2 Ni 1.94-1.98
N 0.2737 0.5101 0.5518  2 Ni 1.94-1.98
N 0.2737 0.7636 0.0518  2 Ni 1.94-1.98
N 0.7263 0.4899 0.4482  2 Ni 1.94-1.98



(7)
Material: NaCa4TaTi4Si5O25
Method: DFT, PBE
State: optimized geometry

## Properties
The value obtained for the total energy after the MP2020 corrections is -0.62475 Ry per atom. For the total energy, the calculation gives -8.071 eV/atom. The formation enthalpy at 0 K is -3410 meV/atom. The total moment comes out at 0.000 μB per atom.

abc: 5.5159 5.5213 32.8472
angles: 91.58 91.63 105.23
Last column: nearest neighbours and their distance in Å.
Sites, in units of the cell vectors:
Na 0.6722 0.3318 0.2547  4 O 2.30-2.52
Na 0.2705 0.9313 0.4555  4 O 2.30-2.51
Ca 0.0737 0.7291 0.0483  5 O 2.27-2.48
Ca 0.8712 0.5284 0.6495  5 O 2.28-2.49
Ca 0.5317 0.8752 0.1460  5 O 2.25-2.48
Ca 0.4728 0.1294 0.8494  5 O 2.28-2.49
Ca 0.1320 0.4725 0.3461  6 O 2.27-2.50
Ca 0.7295 0.0703 0.5491  6 O 2.28-2.54
Ca 0.3293 0.6724 0.7495  5 O 2.28-2.49
Ca 0.9300 0.2734 0.9489  5 O 2.27-2.48
Ta 0.1057 0.1075 0.1999  6 O 1.92-2.06
Ta 0.7005 0.7032 0.4017  6 O 1.91-2.05
Ti 0.5059 0.5003 0.9975  4 O 1.82-2.00
Ti 0.3010 0.3047 0.0969  4 O 1.82-2.01
Ti 0.8963 0.8980 0.2998  6 O 1.90-2.03
Ti 0.4934 0.4964 0.5015  6 O 1.90-2.03
Ti 0.3000 0.2952 0.5999  6 O 1.84-2.04
Ti 0.0980 0.1032 0.6991  4 O 1.82-2.00
Ti 0.9050 0.8994 0.7985  4 O 1.82-2.00
Ti 0.7001 0.7057 0.8980  4 O 1.81-2.00
Si 0.8815 0.5215 0.1475  4 O 1.64-1.65
Si 0.4817 0.1186 0.3489  4 O 1.64-1.66
Si 0.0802 0.7165 0.5515  4 O 1.65-1.66
Si 0.7206 0.0807 0.0489  4 O 1.65-1.66
Si 0.6794 0.3185 0.7504  4 O 1.65-1.66
Si 0.3214 0.6848 0.2510  4 O 1.63-1.66
Si 0.2807 0.9196 0.9496  4 O 1.65-1.66
Si 0.9187 0.2821 0.4525  4 O 1.63-1.66
Si 0.5172 0.8780 0.6508  4 O 1.65-1.66
Si 0.1190 0.4799 0.8500  4 O 1.65-1.66
O 0.7135 0.8381 0.0182  1 Si 1.65
O 0.1414 0.5702 0.1215  1 Si 1.65
O 0.3073 0.4440 0.2191  1 Si 1.65
O 0.3302 0.4674 0.0492  2 Ti 1.82-1.97
O 0.6411 0.5150 0.1165  1 Si 1.64
O 0.8420 0.2603 0.1729  1 Si 1.65
O 0.7482 0.1647 0.3252  1 Si 1.65
O 0.9030 0.0399 0.4208  1 Si 1.65
O 0.9271 0.0647 0.2494  1 Ti 1.90, 1 Ta 1.92
O 0.7674 0.3379 0.0223  1 Si 1.65
O 0.9604 0.0871 0.0807  1 Si 1.65
O 0.2418 0.1128 0.3179  1 Si 1.64
O 0.4385 0.8568 0.3746  1 Si 1.66
O 0.2802 0.1373 0.1489  1 Ta 1.94, 1 Ti 1.96
O 0.3442 0.7599 0.5270  1 Si 1.65
O 0.4623 0.0352 0.0754  1 Si 1.66
O 0.5084 0.6340 0.6202  1 Si 1.65
O 0.5245 0.6629 0.4512  1 Ti 1.90, 1 Ta 1.91
O 0.3583 0.9314 0.2217  1 Si 1.66
O 0.5611 0.6982 0.2821  1 Si 1.63
O 0.8375 0.7092 0.5206  1 Si 1.65
O 0.0321 0.4588 0.5785  1 Si 1.66
O 0.8767 0.7332 0.3501  1 Ti 1.90, 1 Ta 1.97
O 0.8874 0.7637 0.1785  1 Si 1.65
O 0.9368 0.3643 0.7238  1 Si 1.65
O 0.0678 0.6418 0.2778  1 Si 1.64
O 0.1111 0.2370 0.8193  1 Si 1.65
O 0.1277 0.2657 0.6512  2 Ti 1.82-1.95
O 0.9543 0.5288 0.4233  1 Si 1.66
O 0.1601 0.2963 0.4833  1 Si 1.63
O 0.4362 0.3099 0.7196  1 Si 1.65
O 0.6348 0.0612 0.7772  1 Si 1.66
O 0.4643 0.3253 0.5515  2 Ti 1.84-1.91
O 0.4851 0.3613 0.3800  1 Si 1.66
O 0.5379 0.9660 0.9229  1 Si 1.66
O 0.6665 0.2408 0.4798  1 Si 1.64
O 0.7294 0.8673 0.8503  2 Ti 1.81-1.97
O 0.5628 0.1358 0.6244  1 Si 1.65
O 0.7590 0.8851 0.6821  1 Si 1.65
O 0.0376 0.9117 0.9188  1 Si 1.65
O 0.2359 0.6621 0.9763  1 Si 1.66
O 0.0669 0.9289 0.7508  2 Ti 1.82-1.96
O 0.0846 0.9581 0.5828  1 Si 1.66
O 0.2600 0.8337 0.6777  1 Si 1.66
O 0.1652 0.7370 0.8233  1 Si 1.65
O 0.3601 0.4866 0.8814  1 Si 1.65
O 0.6678 0.5298 0.9498  2 Ti 1.82-1.97
O 0.6859 0.5599 0.7817  1 Si 1.65
O 0.8614 0.4353 0.8768  1 Si 1.66
O 0.2871 0.1604 0.9809  1 Si 1.65



(8)
Material: Rb2PrBr5
Method: DFT, PBE
State: optimized geometry

## Properties
The value obtained for the total energy after the MP2020 corrections is -0.30012 Ry per atom. For the total energy, the calculation gives -3.750 eV/atom. The formation enthalpy at 0 K is -2217 meV/atom.

abc: 8.7835 9.4532 14.1067
angles: 90.00 90.00 90.00
Last column: nearest neighbours and their distance in Å.
Sites, in units of the cell vectors:
Rb 0.9475 0.0051 0.8279  8 Br 3.48-3.73
Rb 0.0525 0.9949 0.1721  8 Br 3.48-3.73
Rb 0.4475 0.9949 0.6721  8 Br 3.48-3.73
Rb 0.0525 0.5051 0.1721  8 Br 3.48-3.73
Rb 0.5525 0.0051 0.3279  8 Br 3.48-3.73
Rb 0.9475 0.4949 0.8279  8 Br 3.48-3.73
Rb 0.5525 0.4949 0.3279  8 Br 3.48-3.73
Rb 0.4475 0.5051 0.6721  8 Br 3.48-3.73
Pr 0.9246 0.7500 0.5046  7 Br 2.96-3.07
Pr 0.0754 0.2500 0.4954  7 Br 2.96-3.07
Pr 0.4246 0.2500 0.9954  7 Br 2.96-3.07
Pr 0.5754 0.7500 0.0046  7 Br 2.96-3.07
Br 0.1221 0.7500 0.6749  1 Pr 2.96
Br 0.8779 0.2500 0.3251  1 Pr 2.96
Br 0.6221 0.2500 0.8251  1 Pr 2.96
Br 0.3779 0.7500 0.1749  1 Pr 2.96
Br 0.8392 0.0423 0.5743  2 Pr 3.03-3.07
Br 0.1608 0.9577 0.4257  2 Pr 3.03-3.07
Br 0.3392 0.9577 0.9257  2 Pr 3.03-3.07
Br 0.1608 0.5423 0.4257  2 Pr 3.03-3.07
Br 0.6608 0.0423 0.0743  2 Pr 3.03-3.07
Br 0.8392 0.4577 0.5743  2 Pr 3.03-3.07
Br 0.6608 0.4577 0.0743  2 Pr 3.03-3.07
Br 0.3392 0.5423 0.9257  2 Pr 3.03-3.07
Br 0.5847 0.7500 0.5088  1 Pr 2.99
Br 0.4153 0.2500 0.4912  1 Pr 2.99
Br 0.0847 0.2500 0.9912  1 Pr 2.99
Br 0.9153 0.7500 0.0088  1 Pr 2.99
Br 0.6606 0.7500 0.8007  1 Pr 2.97
Br 0.3394 0.2500 0.1993  1 Pr 2.97
Br 0.1606 0.2500 0.6993  1 Pr 2.97
Br 0.8394 0.7500 0.3007  1 Pr 2.97



(9)
Material: SmCO4
Method: DFT, PBE
State: optimized geometry

## Properties
The value obtained for the total energy after the MP2020 corrections is -0.59336 Ry per atom. For the total energy, the calculation gives -7.615 eV/atom. The formation enthalpy at 0 K is -2450 meV/atom. The total moment comes out at 0.167 μB per atom.

abc: 4.9379 7.2459 8.4299
angles: 90.00 90.00 90.00
Last column: nearest neighbours and their distance in Å.
Sites, in units of the cell vectors:
Sm 0.2500 0.3575 0.3345  8 O 2.35-2.59
Sm 0.2500 0.8575 0.1655  8 O 2.35-2.59
Sm 0.7500 0.6425 0.6655  8 O 2.35-2.59
Sm 0.7500 0.1425 0.8345  8 O 2.35-2.59
C 0.2500 0.3009 0.6780  3 O 1.28-1.30
C 0.2500 0.8009 0.8220  3 O 1.28-1.30
C 0.7500 0.6991 0.3220  3 O 1.28-1.30
C 0.7500 0.1991 0.1780  3 O 1.28-1.30
O 0.2500 0.0385 0.3967  2 Sm 2.35-2.37
O 0.2500 0.5385 0.1033  2 Sm 2.35-2.37
O 0.7500 0.9615 0.6033  2 Sm 2.35-2.37
O 0.7500 0.4615 0.8967  2 Sm 2.35-2.37
O 0.7500 0.2964 0.3048  1 C 1.28
O 0.7500 0.7964 0.1952  1 C 1.28
O 0.2500 0.7036 0.6952  1 C 1.28
O 0.2500 0.2036 0.8048  1 C 1.28
O 0.9775 0.6530 0.3890  1 C 1.30
O 0.5225 0.1530 0.1110  1 C 1.30
O 0.4775 0.3470 0.6110  1 C 1.30
O 0.0225 0.8470 0.8890  1 C 1.30
O 0.0225 0.3470 0.6110  1 C 1.30
O 0.4775 0.8470 0.8890  1 C 1.30
O 0.5225 0.6530 0.3890  1 C 1.30
O 0.9775 0.1530 0.1110  1 C 1.30



(10)
Material: KNdH2S2O9
Method: DFT, PBE
State: optimized geometry

## Properties
The value obtained for the total energy after the MP2020 corrections is -0.48878 Ry per atom. For the total energy, the calculation gives -6.238 eV/atom. The formation enthalpy at 0 K is -2286 meV/atom. The total moment comes out at 0.000 μB per atom.

abc: 8.6432 10.1099 10.6168
angles: 117.40 90.00 90.00
Last column: nearest neighbours and their distance in Å.
Sites, in units of the cell vectors:
K 0.6897 0.2265 0.7017  9 O 2.81-3.14
K 0.1897 0.7735 0.7983  9 O 2.81-3.14
K 0.3103 0.7735 0.2983  9 O 2.81-3.14
K 0.8103 0.2265 0.2017  9 O 2.81-3.14
Nd 0.8439 0.7381 0.4719  9 O 2.41-2.70
Nd 0.3439 0.2619 0.0281  9 O 2.41-2.70
Nd 0.1561 0.2619 0.5281  9 O 2.41-2.70
Nd 0.6561 0.7381 0.9719  9 O 2.41-2.70
H 0.5127 0.6105 0.4523  1 O 0.98
H 0.0127 0.3895 0.0477  1 O 0.98
H 0.4873 0.3895 0.5477  1 O 0.98
H 0.9873 0.6105 0.9523  1 O 0.98
H 0.5230 0.7725 0.5738  1 O 0.98
H 0.0230 0.2275 0.9262  1 O 0.98
H 0.4770 0.2275 0.4262  1 O 0.98
H 0.9770 0.7725 0.0738  1 O 0.98
S 0.1820 0.4757 0.3828  4 O 1.48-1.50
S 0.6820 0.5243 0.1172  4 O 1.48-1.50
S 0.8180 0.5243 0.6172  4 O 1.48-1.50
S 0.3180 0.4757 0.8828  4 O 1.48-1.50
S 0.8691 0.9527 0.3269  4 O 1.49-1.50
S 0.3691 0.0473 0.1731  4 O 1.49-1.50
S 0.1309 0.0473 0.6731  4 O 1.49-1.50
S 0.6309 0.9527 0.8269  4 O 1.49-1.50
O 0.3051 0.4536 0.2767  1 S 1.49
O 0.8051 0.5464 0.2233  1 S 1.49
O 0.6949 0.5464 0.7233  1 S 1.49
O 0.1949 0.4536 0.7767  1 S 1.49
O 0.0794 0.5962 0.3898  1 S 1.48
O 0.5794 0.4038 0.1102  1 S 1.48
O 0.9206 0.4038 0.6102  1 S 1.48
O 0.4206 0.5962 0.8898  1 S 1.48
O 0.0946 0.3335 0.3398  1 S 1.50
O 0.5946 0.6665 0.1602  1 S 1.50
O 0.9054 0.6665 0.6602  1 S 1.50
O 0.4054 0.3335 0.8398  1 S 1.50
O 0.2518 0.5141 0.5241  1 S 1.49
O 0.7518 0.4859 0.9759  1 S 1.49
O 0.7482 0.4859 0.4759  1 S 1.49
O 0.2482 0.5141 0.0241  1 S 1.49
O 0.7920 0.9323 0.1940  1 S 1.49
O 0.2920 0.0677 0.3060  1 S 1.49
O 0.2080 0.0677 0.8060  1 S 1.49
O 0.7080 0.9323 0.6940  1 S 1.49
O 0.9496 0.0990 0.3871  1 S 1.49
O 0.4496 0.9010 0.1129  1 S 1.49
O 0.0504 0.9010 0.6129  1 S 1.49
O 0.5504 0.0990 0.8871  1 S 1.49
O 0.7545 0.9502 0.4317  1 S 1.50
O 0.2545 0.0498 0.0683  1 S 1.50
O 0.2455 0.0498 0.5683  1 S 1.50
O 0.7455 0.9502 0.9317  1 S 1.50
O 0.9800 0.8282 0.2970  1 S 1.50
O 0.4800 0.1718 0.2030  1 S 1.50
O 0.0200 0.1718 0.7030  1 S 1.50
O 0.5200 0.8282 0.7970  1 S 1.50
O 0.5433 0.7116 0.4721  2 H 0.98
O 0.0433 0.2884 0.0279  2 H 0.98
O 0.4567 0.2884 0.5279  2 H 0.98
O 0.9567 0.7116 0.9721  2 H 0.98